Record 1
DFT (PBE with a Hubbard U) results for CaV2Bi2Pb2O10 after structural relaxation.

Lattice parameters (Å, degrees): 11.8988 7.0120 7.1926 90.00 97.60 90.00
Last column: nearest neighbours and their distance in Å.
Space group C2 (No. 5)
Asymmetric unit:
Ca 0.0000 0.0000 0.0000 x2  6 O 2.38-2.47
V 0.2133 0.2579 0.1063 x4  4 O 1.76-1.89
Bi 0.0082 0.5264 0.7397 x4  3 O 2.19-2.25
Pb 0.1416 0.0468 0.5934 x4  4 O 2.38-2.65
O 0.0000 0.3332 0.5000 x2  2 Bi 2.19
O 0.0000 0.7348 0.5000 x2  2 Bi 2.25
O 0.1166 0.2498 0.8771 x4  1 V 1.88
O 0.1341 0.7990 0.8798 x4  1 V 1.83
O 0.1568 0.0719 0.2296 x4  1 V 1.76
O 0.1763 0.4749 0.2410 x4  1 V 1.89

Computed properties:
- energy (eV per cell) = -214.6
- V (A^3/atom) = 17.50
- density (g/cm3) = 6.33
- energy of formation from the pure elements (eV/atom) = -1.924

Record 2
DFT (PBE with a Hubbard U) results for Sr3Ca6V7BiO28 after structural relaxation.

Lattice parameters (Å, degrees): 19.2925 11.1555 14.3977 90.00 116.33 90.00
Last column: nearest neighbours and their distance in Å.
Space group Cc (No. 9)
Asymmetric unit:
Sr 0.0000 0.0426 0.0000 x4  7 O 2.52-2.76
Sr 0.0061 0.4499 0.9990 x4  7 O 2.51-2.77
Sr 0.3000 0.2412 0.4957 x4  7 O 2.52-2.75
Ca 0.1146 0.4517 0.7757 x4  6 O 2.38-2.53
Ca 0.1296 0.0328 0.7759 x4  6 O 2.38-2.55
Ca 0.1905 0.2451 0.1809 x4  6 O 2.34-2.58
Ca 0.2582 0.2483 0.9776 x4  6 O 2.33-2.36
Ca 0.3965 0.4531 0.1794 x4  7 O 2.37-2.64
Ca 0.4002 0.0470 0.1801 x4  6 O 2.34-2.58
V 0.0551 0.2357 0.8760 x4  4 O 1.72-1.73
V 0.1999 0.4970 0.5776 x4  4 O 1.69-1.76
V 0.2145 0.0186 0.5772 x4  4 O 1.70-1.78
V 0.3052 0.4866 0.3757 x4  4 O 1.72-1.74
V 0.3202 0.0011 0.8757 x4  4 O 1.72-1.74
V 0.4682 0.2640 0.0750 x4  4 O 1.72-1.74
V 0.4928 0.2492 0.6738 x4  4 O 1.73-1.78
Bi 0.3355 0.2676 0.7720 x4  4 O 2.31-2.43
O 0.0074 0.1009 0.8342 x4  1 V 1.73
O 0.0108 0.1035 0.6393 x4  1 V 1.74
O 0.0108 0.3997 0.2087 x4  1 V 1.73
O 0.0219 0.3645 0.6187 x4  1 V 1.72
O 0.0757 0.1661 0.2094 x4  1 V 1.73
O 0.0871 0.2413 0.0085 x4  1 V 1.73
O 0.1317 0.2391 0.8442 x4  1 V 1.73
O 0.1423 0.4710 0.1388 x4  1 V 1.73
O 0.1424 0.4904 0.4482 x4  1 V 1.69
O 0.1439 0.0157 0.6190 x4  1 V 1.72
O 0.1770 0.0428 0.4476 x4  1 V 1.70
O 0.2417 0.3684 0.3332 x4  1 V 1.72
O 0.2523 0.3810 0.8463 x4  1 V 1.74
O 0.2580 0.3677 0.6208 x4  1 V 1.76
O 0.2603 0.1204 0.1068 x4  1 V 1.74
O 0.2607 0.1198 0.3222 x4  1 V 1.72
O 0.2614 0.3801 0.1059 x4  1 V 1.74
O 0.2630 0.1292 0.8448 x4  1 V 1.74
O 0.2918 0.1220 0.6391 x4  1 V 1.78
O 0.3595 0.4680 0.5073 x4  1 V 1.72
O 0.3677 0.0226 0.5075 x4  1 V 1.72
O 0.3675 0.4995 0.3191 x4  1 V 1.73
O 0.3880 0.2484 0.0999 x4  1 V 1.74
O 0.3904 0.0238 0.8336 x4  1 V 1.73
O 0.4238 0.3150 0.7090 x4  1 V 1.78
O 0.4402 0.2882 0.9452 x4  1 V 1.72
O 0.4484 0.2502 0.5399 x4  1 V 1.73
O 0.4994 0.1390 0.3230 x4  1 V 1.72

Computed properties:
- energy (eV per cell) = -1293.1
- V (A^3/atom) = 15.43
- density (g/cm3) = 3.63
- energy of formation from the pure elements (eV/atom) = -2.917

Record 3
DFT (PBE with a Hubbard U) results for Ca2VBiO6 after structural relaxation.

Lattice parameters (Å, degrees): 8.2806 8.2806 8.2806 90.00 90.00 90.00
Last column: nearest neighbours and their distance in Å.
Space group Fm-3m (No. 225)
Asymmetric unit:
Ca 0.2500 0.2500 0.2500 x8  12 O 2.93
V 0.0000 0.0000 0.0000 x4  6 O 1.89
Bi 0.0000 0.0000 0.5000 x4  6 O 2.25
O 0.0000 0.0000 0.2278 x24  1 V 1.89

Computed properties:
- energy above the most stable polymorph in this dataset (meV/atom) = 385
- energy (eV per cell) = -257.9
- V (A^3/atom) = 14.19
- density (g/cm3) = 5.10
- energy of formation from the pure elements (eV/atom) = -2.362

Record 4
DFT (PBE with a Hubbard U) results for CaVBiO6 after structural relaxation.

Lattice parameters (Å, degrees): 7.1133 5.3822 7.5835 90.00 101.83 90.00
Last column: nearest neighbours and their distance in Å.
Space group P2_1 (No. 4)
Asymmetric unit:
Ca 0.2310 0.0000 0.4342 x2  6 O 2.30-2.55
V 0.2797 0.4687 0.7114 x2  4 O 1.69-1.83
Bi 0.1000 0.9928 0.9306 x2  6 O 2.13-2.24
O 0.0846 0.3436 0.5707 x2  1 V 1.71
O 0.1036 0.2119 0.1734 x2  2 Bi 2.13-2.18, 1 Ca 2.30
O 0.1487 0.7312 0.1513 x2  2 Bi 2.16-2.17
O 0.2574 0.8039 0.7404 x2  1 V 1.83
O 0.3114 0.2773 0.9067 x2  1 V 1.78
O 0.4617 0.4154 0.6038 x2  1 V 1.69

Computed properties:
- energy (eV per cell) = -116.2
- V (A^3/atom) = 15.79
- density (g/cm3) = 4.63
- energy of formation from the pure elements (eV/atom) = -2.140

Record 5
DFT (PBE with a Hubbard U) results for Ca2VBiO6 after structural relaxation.

Lattice parameters (Å, degrees): 9.0186 12.0760 5.6072 90.00 90.00 90.00
Last column: nearest neighbours and their distance in Å.
Space group Cmc2_1 (No. 36)
Asymmetric unit:
Ca 0.1977 0.1069 0.0000 x8  5 O 2.31-2.56
V 0.0000 0.1841 0.4538 x4  4 O 1.74-1.75
Bi 0.0000 0.4104 0.0154 x4  4 O 2.24-2.26
O 0.0000 0.0530 0.3228 x4  1 V 1.75
O 0.0000 0.1839 0.7666 x4  1 V 1.75
O 0.1535 0.4952 0.7541 x8  2 Bi 2.24-2.26, 2 Ca 2.31-2.35
O 0.1560 0.2483 0.3328 x8  1 V 1.74

Computed properties:
- energy above the most stable polymorph in this dataset (meV/atom) = 0
- energy (eV per cell) = -273.3
- V (A^3/atom) = 15.27
- maximum piezoelectric response (C/m2) = 0.6
- density (g/cm3) = 4.74
- energy of formation from the pure elements (eV/atom) = -2.747

Record 6
DFT (PBE with a Hubbard U) results for CaBiWO5 after structural relaxation.

Lattice parameters (Å, degrees): 5.8219 12.1096 8.8520 90.00 110.69 90.00
Last column: nearest neighbours and their distance in Å.
Space group P2_1/c (No. 14)
Asymmetric unit:
Ca 0.0644 0.0851 0.1844 x4  6 O 2.32-2.53
Bi 0.4655 0.1018 0.8571 x4  3 O 2.22-2.28
W 0.3096 0.6393 0.0221 x4  4 O 1.83-1.94
O 0.1935 0.5673 0.1627 x4  1 W 1.83
O 0.2117 0.7069 0.4892 x4  1 W 1.94
O 0.2726 0.0295 0.0123 x4  2 Bi 2.22-2.24, 1 Ca 2.36
O 0.2843 0.5716 0.8283 x4  1 W 1.86
O 0.3675 0.1949 0.3645 x4  1 W 1.91

Computed properties:
- energy above the most stable polymorph in this dataset (meV/atom) = 11
- energy (eV per cell) = -215.4
- V (A^3/atom) = 18.24
- density (g/cm3) = 5.84
- energy of formation from the pure elements (eV/atom) = -2.267

What did the first record say?
DFT (PBE with a Hubbard U) results for CaV2Bi2Pb2O10 after structural relaxation.

Lattice parameters (Å, degrees): 11.8988 7.0120 7.1926 90.00 97.60 90.00
Last column: nearest neighbours and their distance in Å.
Space group C2 (No. 5)
Asymmetric unit:
Ca 0.0000 0.0000 0.0000 x2  6 O 2.38-2.47
V 0.2133 0.2579 0.1063 x4  4 O 1.76-1.89
Bi 0.0082 0.5264 0.7397 x4  3 O 2.19-2.25
Pb 0.1416 0.0468 0.5934 x4  4 O 2.38-2.65
O 0.0000 0.3332 0.5000 x2  2 Bi 2.19
O 0.0000 0.7348 0.5000 x2  2 Bi 2.25
O 0.1166 0.2498 0.8771 x4  1 V 1.88
O 0.1341 0.7990 0.8798 x4  1 V 1.83
O 0.1568 0.0719 0.2296 x4  1 V 1.76
O 0.1763 0.4749 0.2410 x4  1 V 1.89

Computed properties:
- energy (eV per cell) = -214.6
- V (A^3/atom) = 17.50
- density (g/cm3) = 6.33
- energy of formation from the pure elements (eV/atom) = -1.924

- Which formula does entry 4 have?
  CaVBiO6